Compound: Li6MnV3P6O24
Source: the Materials Project
Functional: PBE+U
Structure: optimized geometry

## Properties
Total magnetization (μB per atom): 0.250
Symmetry: No. 1
Energy relative to the lowest polymorph listed for this composition (meV/atom): 4

Lattice parameters (Å, degrees): 9.0726 8.4760 14.6626 90.43 74.42 61.82
Fractional positions:
Li1 0.1505 0.7262 0.4606
O1 0.0973 0.2596 0.1050
V1 0.5626 0.7195 0.5731
P1 0.7499 0.9803 0.5201
Mn1 0.9568 0.0218 0.6736
Li2 0.8524 0.2723 0.5391
O2 0.1949 0.9244 0.4161
O3 0.0973 0.9790 0.7720
O4 0.2696 0.9971 0.8724
Li3 0.1503 0.2956 0.6321
O5 0.1943 0.7173 0.2522
O6 0.4188 0.0889 0.1006
P2 0.2500 0.0829 0.1257
O7 0.5766 0.9058 0.9049
V2 0.4367 0.7815 0.9280
O8 0.9019 0.5219 0.7310
O9 0.7280 0.0758 0.9412
O10 0.0990 0.1241 0.5743
O11 0.5809 0.6144 0.0033
O12 0.8046 0.2818 0.7471
O13 0.0951 0.7581 0.6046
O14 0.2684 0.4248 0.5615
O15 0.2692 0.4963 0.3704
P3 0.2496 0.5209 0.9789
O16 0.7365 0.9988 0.1274
P4 0.7497 0.4797 0.7298
O17 0.8009 0.9317 0.7707
Li4 0.1512 0.2534 0.3313
Mn2 0.5609 0.2213 0.0715
O18 0.8078 0.5790 0.0829
Li5 0.1502 0.2260 0.9617
O19 0.2637 0.9252 0.0622
O20 0.5800 0.4058 0.4008
V3 0.9534 0.5232 0.1740
V4 0.4384 0.2804 0.4269
P5 0.2506 0.0205 0.7706
P6 0.7458 0.9148 0.8769
O21 0.7340 0.8237 0.5673
Li6 0.8491 0.2039 0.8683
O22 0.9004 0.7404 0.8973
V5 0.0462 0.9765 0.3260
O23 0.9038 0.8832 0.4216
O24 0.1924 0.5666 0.7327
O25 0.0971 0.6160 0.0775
O26 0.5819 0.1089 0.3060
O27 0.4202 0.3857 0.9944
O28 0.1934 0.2191 0.7537
O29 0.2648 0.6784 0.9317
O30 0.8066 0.4330 0.2672
O31 0.7320 0.5045 0.6280
Li7 0.8494 0.7479 0.6687
Li8 0.8489 0.7047 0.3687
O32 0.1000 0.4762 0.2675
O33 0.4203 0.8846 0.4971
O34 0.5794 0.1138 0.5022
O35 0.9025 0.0209 0.2322
P7 0.2525 0.0213 0.4785
O36 0.4178 0.5951 0.5993
P8 0.7511 0.9783 0.2296
O37 0.2736 0.1743 0.4284
O38 0.9018 0.2401 0.3956
O39 0.5787 0.6105 0.8067
O40 0.8042 0.0789 0.5824
O41 0.4248 0.3877 0.1919
O42 0.9031 0.3859 0.9215
P9 0.7509 0.4810 0.0209
Li9 0.1494 0.7958 0.1317
P10 0.2510 0.5841 0.6253
Li10 0.1492 0.7546 0.8321
O43 0.1891 0.0670 0.2336
V6 0.0450 0.4776 0.8260
O44 0.8080 0.7795 0.2473
P11 0.2519 0.5186 0.2683
Li11 0.8493 0.7756 0.0391
O45 0.4202 0.8924 0.6936
O46 0.1913 0.4256 0.9163
O47 0.7394 0.3239 0.0685
Li12 0.8499 0.2446 0.1679
O48 0.7325 0.5739 0.4380
P12 0.7491 0.4155 0.3747

Compound: RbLiMn3O4
Source: the Materials Project
Functional: PBE+U
Structure: optimized geometry

## Properties
Total magnetization (μB per atom): 1.667
Symmetry: No. 8

Lattice parameters (Å, degrees): 6.2314 6.2314 8.4179 49.02 49.02 33.56
Fractional positions:
O1 0.7652 0.7652 0.6310
O2 0.5984 0.5984 0.1832
Mn1 0.3678 0.3678 0.4679
O3 0.2285 0.2285 0.3760
Li1 0.8185 0.8185 0.8097
Mn2 0.1998 0.1998 0.1568
O4 0.3917 0.3917 0.8225
Rb1 0.0088 0.0088 0.9961
Mn3 0.6212 0.6212 0.5569

Compound: RbLiMn3O4
Source: the Materials Project
Functional: PBE+U
Structure: optimized geometry

## Properties
Total magnetization (μB per atom): 1.667
Symmetry: No. 1

Lattice parameters (Å, degrees): 6.2968 8.1188 8.1209 96.74 100.57 101.21
Fractional positions:
O1 0.3668 0.3142 0.1431
Rb1 0.9940 0.6702 0.6728
Li1 0.8162 0.5812 0.0272
O2 0.1613 0.0076 0.3787
Mn1 0.4541 0.4917 0.6726
O3 0.6136 0.3499 0.5183
O4 0.6162 0.0226 0.1883
Mn2 0.7954 0.2340 0.6877
O5 0.1646 0.3384 0.7149
Mn3 0.5562 0.5132 0.3295
Mn4 0.4612 0.8136 0.9951
Mn5 0.1752 0.4248 0.9741
O6 0.1758 0.6773 0.0509
Rb2 0.0005 0.9917 0.0008
Mn6 0.8003 0.9111 0.3616
Rb3 0.0036 0.3302 0.3338
Li2 0.4381 0.1485 0.3297
O7 0.3840 0.6485 0.4787
O8 0.8293 0.3299 0.9464
Li3 0.5591 0.8490 0.6695
O9 0.8376 0.9907 0.6206
O10 0.3890 0.9835 0.8125
O11 0.6335 0.6832 0.8592
Mn7 0.5539 0.1898 0.0066
Mn8 0.1971 0.0853 0.6365
Mn9 0.1885 0.7575 0.3086
O12 0.8347 0.6622 0.2824

Compound: LiMnRhO4
Source: the Materials Project
Functional: PBE+U
Structure: optimized geometry

## Properties
Symmetry: No. 74

Lattice parameters (Å, degrees): 5.9752 5.9752 5.9752 120.99 118.42 90.52
Fractional positions:
O1 0.7217 0.2557 0.4660
Mn1 0.5000 0.0000 0.0000
Rh1 0.0000 0.5000 0.5000
Li1 0.1253 0.8753 0.2500
O2 0.7103 0.7443 0.9660
O3 0.2783 0.7443 0.5340
Rh2 0.5000 0.5000 0.0000
O4 0.2897 0.2557 0.0340
O5 0.2690 0.2878 0.5188
O6 0.7310 0.2499 0.0188
Li2 0.8747 0.1247 0.7500
O7 0.7310 0.7122 0.4812
Mn2 0.5000 0.5000 0.5000
O8 0.2690 0.7501 0.9812

Compound: Li2Mn2S3O12
Source: the Materials Project
Functional: PBE+U
Structure: optimized geometry

## Properties
Total magnetization (μB per atom): 0.526
Symmetry: No. 15
Energy relative to the lowest polymorph listed for this composition (meV/atom): 8

Lattice parameters (Å, degrees): 8.0594 8.0594 8.9188 68.19 68.19 66.98
Fractional positions:
O1 0.7357 0.6199 0.8085
S1 0.2465 0.4566 0.6803
Mn1 0.1305 0.6348 0.0153
O2 0.2127 0.9003 0.3237
S2 0.0616 0.9384 0.2500
O3 0.5062 0.8754 0.9251
O4 0.1304 0.4560 0.8597
O5 0.1246 0.4938 0.5749
O6 0.5985 0.3441 0.1190
O7 0.4938 0.1246 0.0749
O8 0.1211 0.0531 0.6173
O9 0.2643 0.3801 0.1915
O10 0.8696 0.5440 0.1403
S3 0.7535 0.5434 0.3197
O11 0.5440 0.8696 0.6403
O12 0.8789 0.9469 0.3827
Li1 0.1303 0.3335 0.4472
O13 0.3801 0.2643 0.6915
O14 0.4560 0.1304 0.3597
Li2 0.6665 0.8697 0.0528
S4 0.5434 0.7535 0.8197
O15 0.7873 0.0997 0.6763
O16 0.6559 0.4015 0.3810
O17 0.0997 0.7873 0.1763
O18 0.9003 0.2127 0.8237
O19 0.0531 0.1211 0.1173
O20 0.9469 0.8789 0.8827
S5 0.4566 0.2465 0.1803
Li3 0.3335 0.1303 0.9472
O21 0.8754 0.5062 0.4251
Li4 0.8697 0.6665 0.5528
S6 0.9384 0.0616 0.7500
O22 0.4015 0.6559 0.8810
Mn2 0.6348 0.1305 0.5153
Mn3 0.3652 0.8695 0.4847
O23 0.6199 0.7357 0.3085
O24 0.3441 0.5985 0.6190
Mn4 0.8695 0.3652 0.9847

Compound: Li2MnS2O8
Source: the Materials Project
Functional: PBE+U
Structure: optimized geometry

## Properties
Total magnetization (μB per atom): 0.000
Energy relative to the lowest polymorph listed for this composition (meV/atom): 0

Lattice parameters (Å, degrees): 8.4358 9.0341 9.4817 66.15 90.00 90.00
Fractional positions:
S1 0.8035 0.6328 0.1630
O1 0.3594 0.8525 0.4043
O2 0.6475 0.3005 0.1374
Mn1 0.5000 0.0000 0.5000
Li1 0.3667 0.0937 0.0105
S2 0.1965 0.3672 0.8370
O3 0.1406 0.8525 0.9043
O4 0.1406 0.3525 0.4043
Li2 0.3667 0.5937 0.5105
S3 0.6965 0.1328 0.1630
O5 0.5855 0.0612 0.0875
O6 0.7995 0.0311 0.8322
S4 0.3035 0.3672 0.3370
Li3 0.8667 0.4063 0.9895
O7 0.7005 0.5311 0.8322
Mn2 0.0000 0.5000 0.5000
O8 0.4145 0.9388 0.9125
O9 0.2005 0.4689 0.6678
O10 0.3525 0.1995 0.3626
O11 0.8525 0.3005 0.6374
O12 0.4145 0.4388 0.4125
Li4 0.1333 0.0937 0.5105
O13 0.1475 0.6996 0.3626
S5 0.6965 0.6328 0.6630
O14 0.3525 0.6995 0.8626
O15 0.6475 0.8005 0.6374
O16 0.7005 0.0311 0.3322
O17 0.9145 0.0612 0.5875
S6 0.8035 0.1328 0.6630
O18 0.3594 0.3525 0.9043
S7 0.1965 0.8672 0.3370
O19 0.1475 0.1995 0.8626
O20 0.6406 0.1475 0.5957
O21 0.2005 0.9689 0.1678
Mn3 0.0000 0.0000 0.0000
S8 0.3035 0.8672 0.8370
O22 0.9145 0.5612 0.0875
O23 0.8525 0.8005 0.1374
O24 0.0855 0.9388 0.4125
O25 0.7995 0.5311 0.3322
Li5 0.6333 0.4063 0.4895
O26 0.2995 0.4689 0.1678
O27 0.8594 0.6475 0.5957
O28 0.2995 0.9689 0.6678
O29 0.8594 0.1475 0.0957
O30 0.5855 0.5612 0.5875
O31 0.0855 0.4388 0.9125
Mn4 0.5000 0.5000 0.0000
Li6 0.8667 0.9063 0.4895
Li7 0.1333 0.5937 0.0105
O32 0.6406 0.6475 0.0957
Li8 0.6333 0.9063 0.9895

Number 1: E (MP2020) -7.660 eV per atom. Number 2: E (MP2020) -7.446 eV per atom. Number 3: E (MP2020) -7.444 eV per atom. Number 4: E (MP2020) -7.233 eV per atom. Number 5: E (MP2020) -7.078 eV per atom. Number 6: E (MP2020) -6.874 eV per atom.